1:
DFT (PBE) results for a relaxed Na6YNb3Si6O24 crystal.

a = 9.1897 Å, b = 9.1899 Å, c = 22.4998 Å
α = 90.02°, β = 90.01°, γ = 119.92°
Fractional positions:
Na 0.0000 0.0000 0.0000
Na 0.0006 0.0001 0.4900
Na 0.0446 0.7037 0.9123
Na 0.2970 0.3408 0.9123
Na 0.3172 0.0241 0.0810
Na 0.3234 0.2857 0.5776
Na 0.3317 0.6573 0.8232
Na 0.3438 0.6788 0.3279
Na 0.3589 0.3566 0.2441
Na 0.3623 0.0033 0.7393
Na 0.6563 0.9557 0.9116
Na 0.6658 0.3175 0.1639
Na 0.6807 0.3479 0.6604
Na 0.7052 0.6795 0.0814
Na 0.7102 0.0368 0.5787
Na 0.9644 0.6773 0.5781
Na 0.9756 0.2961 0.0815
Na 0.9932 0.6400 0.2439
Y 0.3324 0.6667 0.9722
Y 0.9965 0.9989 0.6410
Y 0.9974 0.0017 0.1499
Nb 0.3317 0.6663 0.4670
Nb 0.3332 0.6630 0.6811
Nb 0.3357 0.6694 0.1795
Nb 0.6654 0.3326 0.5114
Nb 0.6660 0.3302 0.3103
Nb 0.6659 0.3338 0.0144
Nb 0.6697 0.3366 0.8034
Nb 0.9979 0.0004 0.8422
Nb 0.9979 0.9992 0.3468
Si 0.0004 0.7001 0.7397
Si 0.0331 0.6630 0.0746
Si 0.0435 0.3858 0.5734
Si 0.2973 0.3000 0.7410
Si 0.3012 0.0006 0.2431
Si 0.3351 0.3698 0.0742
Si 0.3401 0.9562 0.5744
Si 0.3699 0.3300 0.4093
Si 0.3714 0.0493 0.9069
Si 0.6148 0.6595 0.5728
Si 0.6278 0.9655 0.0731
Si 0.6698 0.0403 0.4107
Si 0.6760 0.6273 0.9080
Si 0.6984 0.6994 0.2436
Si 0.6984 0.9980 0.7400
Si 0.9493 0.3217 0.9084
Si 0.9580 0.6302 0.4098
Si 0.9979 0.3010 0.2424
O 0.0021 0.8196 0.0813
O 0.0237 0.8338 0.7958
O 0.0253 0.2020 0.5744
O 0.0272 0.1897 0.2941
O 0.1334 0.4859 0.9056
O 0.1344 0.6916 0.0134
O 0.1387 0.6425 0.1320
O 0.1408 0.5051 0.6324
O 0.1441 0.6484 0.4139
O 0.1596 0.4864 0.5162
O 0.1618 0.9704 0.2954
O 0.1692 0.1935 0.7981
O 0.1744 0.4862 0.2394
O 0.1756 0.9771 0.5734
O 0.1795 0.1819 0.0803
O 0.1797 0.7013 0.7397
O 0.1863 0.1605 0.4019
O 0.1867 0.0392 0.9042
O 0.2334 0.1879 0.6817
O 0.2448 0.0484 0.1817
O 0.3044 0.8233 0.2377
O 0.3070 0.4821 0.7378
O 0.3077 0.4434 0.0130
O 0.3263 0.8375 0.5180
O 0.3493 0.8638 0.9057
O 0.3512 0.4975 0.4138
O 0.3540 0.4950 0.1316
O 0.3621 0.8668 0.6354
O 0.4691 0.3076 0.4681
O 0.4699 0.1661 0.9671
O 0.4844 0.3238 0.7524
O 0.4855 0.1506 0.8502
O 0.4875 0.1625 0.2559
O 0.4896 0.3523 0.3524
O 0.4969 0.6406 0.6319
O 0.4968 0.8521 0.1285
O 0.5014 0.8556 0.4136
O 0.5110 0.6815 0.2379
O 0.5119 0.6477 0.9056
O 0.5127 0.6730 0.5158
O 0.5127 0.8272 0.7396
O 0.5141 0.1433 0.5709
O 0.5178 0.3720 0.0728
O 0.5586 0.8676 0.0111
O 0.6245 0.1449 0.0731
O 0.6257 0.4844 0.5711
O 0.6513 0.1473 0.3559
O 0.6624 0.1547 0.7506
O 0.6628 0.5056 0.8535
O 0.6663 0.5081 0.2547
O 0.6922 0.1584 0.4704
O 0.6961 0.5336 0.9690
O 0.7973 0.0326 0.6786
O 0.7990 0.8239 0.5732
O 0.8037 0.7545 0.1826
O 0.8074 0.9791 0.7970
O 0.8091 0.8321 0.2970
O 0.8144 0.9954 0.0811
O 0.8367 0.3040 0.9693
O 0.8374 0.5295 0.4684
O 0.8395 0.0273 0.4021
O 0.8391 0.3304 0.8535
O 0.8435 0.3397 0.2539
O 0.8428 0.5115 0.7518
O 0.8505 0.8102 0.9031
O 0.8526 0.4808 0.0730
O 0.8573 0.3743 0.5713
O 0.8595 0.5128 0.3525
O 0.9587 0.1472 0.9045
O 0.9650 0.2114 0.1788
O 0.9679 0.7661 0.6782
O 0.9738 0.8150 0.4033

---

2:
DFT (PBE) results for a relaxed Na6YNb3Si6O24 crystal.

a = 15.9386 Å, b = 9.1571 Å, c = 9.1792 Å
α = 90.23°, β = 125.27°, γ = 89.95°
Fractional positions:
Na 0.2521 0.7500 0.9999
Na 0.7485 0.7495 0.4946
Na 0.7521 0.2500 0.9999
Na 0.2485 0.2495 0.4946
Na 0.5053 0.0981 0.7588
Na 0.5013 0.8850 0.2411
Na 0.0053 0.5981 0.7588
Na 0.0013 0.3850 0.2411
Na 0.8036 0.9313 0.2162
Na 0.1858 0.0690 0.7932
Na 0.3036 0.4313 0.2162
Na 0.6858 0.5690 0.7932
Y 0.1038 0.2407 0.0666
Y 0.6038 0.7407 0.0666
Nb 0.1066 0.7489 0.5612
Nb 0.8956 0.7558 0.9315
Nb 0.8924 0.2495 0.4387
Nb 0.6066 0.2489 0.5612
Nb 0.3956 0.2558 0.9315
Nb 0.3924 0.7495 0.4387
Si 0.9957 0.9521 0.7395
Si 0.9979 0.0414 0.2590
Si 0.4957 0.4521 0.7395
Si 0.4979 0.5414 0.2590
Si 0.3526 0.8987 0.7591
Si 0.6486 0.8969 0.7482
Si 0.6467 0.1173 0.2452
Si 0.3590 0.0982 0.2514
Si 0.8526 0.3987 0.7591
Si 0.1486 0.3969 0.7482
Si 0.1467 0.6173 0.2452
Si 0.8590 0.5982 0.2514
O 0.1568 0.5731 0.7235
O 0.8497 0.5796 0.7530
O 0.8558 0.4187 0.2590
O 0.1588 0.4421 0.2595
O 0.6568 0.0731 0.7235
O 0.3497 0.0796 0.7530
O 0.3558 0.9187 0.2590
O 0.6588 0.9421 0.2595
O 0.4272 0.5612 0.5635
O 0.5793 0.5492 0.9068
O 0.5519 0.4326 0.4314
O 0.4354 0.4277 0.0825
O 0.9272 0.0612 0.5635
O 0.0793 0.0492 0.9068
O 0.0519 0.9326 0.4314
O 0.9354 0.9277 0.0825
O 0.2461 0.8454 0.7336
O 0.7423 0.8078 0.7598
O 0.7437 0.1925 0.2554
O 0.2752 0.1865 0.2611
O 0.7461 0.3454 0.7336
O 0.2423 0.3078 0.7598
O 0.2437 0.6925 0.2554
O 0.7752 0.6865 0.2611
O 0.3628 0.8482 0.5930
O 0.6520 0.8809 0.9264
O 0.6461 0.1791 0.4128
O 0.3553 0.1396 0.0696
O 0.8628 0.3482 0.5930
O 0.1520 0.3809 0.9264
O 0.1461 0.6791 0.4128
O 0.8553 0.6396 0.0696
O 0.4498 0.8397 0.9447
O 0.5381 0.8242 0.5755
O 0.5366 0.1720 0.0614
O 0.4744 0.1463 0.4221
O 0.9498 0.3397 0.9447
O 0.0381 0.3242 0.5755
O 0.0366 0.6720 0.0614
O 0.9744 0.6463 0.4221
O 0.0648 0.8296 0.7202
O 0.9153 0.8558 0.7592
O 0.9076 0.1357 0.2539
O 0.0793 0.1499 0.2677
O 0.5648 0.3296 0.7202
O 0.4153 0.3558 0.7592
O 0.4076 0.6357 0.2539
O 0.5793 0.6499 0.2677

---

Which of them is most stable, and which least? Most stable: 2; least stable: 1.